Entry 1:
The following is a r²SCAN calculation of a relaxed SrCd crystal, from Materials Project.

Calculated values
theoretical density = 5.05 g/cm3
VASP energy = -35.90 eV for the cell shown
energy of formation = -322 meV per atom
crystal system = cubic
space group = Pm-3m (221)

Cell lengths 4.0356, 4.0356, 4.0356 Å; angles 90.00, 90.00, 90.00 degrees
Sites, in units of the cell vectors:
1 Sr 0.5000 0.5000 0.5000
2 Cd 0.0000 0.0000 0.0000

=====

Entry 2:
The following is a r²SCAN calculation of a relaxed Sr5Cd3 crystal, from Materials Project.

Calculated values
theoretical density = 4.08 g/cm3
VASP energy = -275.83 eV for the cell shown
energy of formation = -234 meV per atom
crystal system = tetragonal
space group = I4/mcm (140)

Cell lengths 8.7716, 8.7716, 10.2870 Å; angles 115.24, 115.24, 90.00 degrees
Sites, in units of the cell vectors:
1 Sr 0.9776 0.4776 0.2936
2 Sr 0.5224 0.6841 0.7064
3 Sr 0.1841 0.0224 0.7064
4 Sr 0.5000 0.5000 0.0000
5 Sr 0.0224 0.5224 0.7064
6 Sr 0.3159 0.8159 0.2936
7 Sr 0.8159 0.9776 0.2936
8 Sr 0.6841 0.1841 0.7064
9 Sr 0.0000 0.0000 0.0000
10 Sr 0.4776 0.3159 0.2936
11 Cd 0.8787 0.6213 0.0000
12 Cd 0.1213 0.3787 0.0000
13 Cd 0.3787 0.8787 0.0000
14 Cd 0.6213 0.1213 0.0000
15 Cd 0.2500 0.2500 0.5000
16 Cd 0.7500 0.7500 0.5000

=====

Entry 3:
The following is a r²SCAN calculation of a relaxed Sr2TlCd crystal, from Materials Project.

Calculated values
theoretical density = 6.17 g/cm3
VASP energy = -105.28 eV for the cell shown
energy of formation = -427 meV per atom
crystal system = cubic
space group = Fm-3m (225)

Cell lengths 5.7225, 5.7225, 5.7225 Å; angles 60.00, 60.00, 60.00 degrees
Sites, in units of the cell vectors:
1 Tl 0.7500 0.7500 0.7500
2 Sr 0.5000 0.5000 0.5000
3 Sr 0.0000 0.0000 0.0000
4 Cd 0.2500 0.2500 0.2500

=====

- What is the VASP energy in the first record?
  -35.90 eV for the cell shown

=====

- theoretical density of number 2 (Sr5Cd3)?
  4.08 g/cm3

=====

- Which of these has the highest VASP energy?
  SrCd